Record 1
{"formula": "Li7Mn2Co3O12", "functional": "PBE+U", "state": "relaxed", "de_polymorph_ev_per_atom": 0.0461, "volume_a3_per_atom": 8.9, "energy_ev_per_atom": -5.883, "mass_density_kg_m3": 4094, "lattice_angstrom": [[5.884, 0.000, 0.000], [-2.936, 5.104, 0.000], [-1.372, -2.447, 7.121]], "species": ["Li", "Li", "Li", "Li", "Li", "Li", "Li", "Mn", "Mn", "Co", "Co", "Co", "O", "O", "O", "O", "O", "O", "O", "O", "O", "O", "O", "O"], "fractional_positions": [[0.000, 0.000, 0.000], [0.000, 0.499, 0.997], [0.002, 0.671, 0.666], [0.501, 0.998, 0.996], [0.983, 0.315, 0.320], [0.992, 0.829, 0.328], [0.999, 0.167, 0.662], [0.498, 0.499, 0.997], [0.501, 0.165, 0.667], [0.490, 0.834, 0.318], [0.498, 0.326, 0.326], [0.498, 0.677, 0.665], [0.262, 0.418, 0.153], [0.262, 0.912, 0.175], [0.266, 0.779, 0.513], [0.276, 0.255, 0.498], [0.278, 0.113, 0.829], [0.281, 0.581, 0.831], [0.714, 0.738, 0.494], [0.718, 0.414, 0.165], [0.725, 0.558, 0.829], [0.728, 0.084, 0.813], [0.728, 0.882, 0.154], [0.730, 0.241, 0.499]]}

***

Record 2
{"formula": "Li4MnCo2O7", "functional": "PBE+U", "state": "relaxed", "de_polymorph_ev_per_atom": 0.0331, "volume_a3_per_atom": 9.0, "energy_ev_per_atom": -5.844, "mass_density_kg_m3": 4121, "lattice_angstrom": [[5.116, 0.000, 0.000], [2.367, 7.300, 0.000], [1.647, 3.407, 6.745]], "species": ["Li", "Li", "Li", "Li", "Li", "Li", "Li", "Li", "Mn", "Mn", "Co", "Co", "Co", "Co", "O", "O", "O", "O", "O", "O", "O", "O", "O", "O", "O", "O", "O", "O"], "fractional_positions": [[0.000, 0.000, 0.000], [0.000, 0.128, 0.296], [0.001, 0.842, 0.731], [0.003, 0.701, 0.440], [0.015, 0.403, 0.875], [0.500, 0.130, 0.799], [0.998, 0.559, 0.152], [0.999, 0.265, 0.598], [0.501, 0.988, 0.514], [0.502, 0.411, 0.372], [0.495, 0.707, 0.938], [0.505, 0.266, 0.076], [0.506, 0.845, 0.221], [0.507, 0.547, 0.659], [0.269, 0.129, 0.057], [0.270, 0.979, 0.749], [0.272, 0.555, 0.906], [0.274, 0.681, 0.201], [0.277, 0.428, 0.603], [0.279, 0.261, 0.348], [0.283, 0.848, 0.468], [0.719, 0.413, 0.132], [0.722, 0.140, 0.535], [0.724, 0.720, 0.679], [0.728, 0.833, 0.991], [0.731, 0.987, 0.274], [0.733, 0.549, 0.404], [0.746, 0.287, 0.835]]}

***

Record 3
{"formula": "Li7Mn4CoO12", "functional": "PBE+U", "state": "relaxed", "de_polymorph_ev_per_atom": 0.0387, "volume_a3_per_atom": 9.1, "energy_ev_per_atom": -6.210, "mass_density_kg_m3": 3944, "lattice_angstrom": [[7.661, -1.437, 0.000], [7.661, 1.437, 0.000], [-3.112, 0.000, 9.930]], "species": ["Li", "Li", "Li", "Li", "Li", "Li", "Li", "Mn", "Mn", "Mn", "Mn", "Co", "O", "O", "O", "O", "O", "O", "O", "O", "O", "O", "O", "O"], "fractional_positions": [[0.000, 0.000, 0.000], [0.000, 0.000, 0.484], [0.162, 0.162, 0.407], [0.325, 0.325, 0.330], [0.326, 0.326, 0.819], [0.659, 0.659, 0.644], [0.666, 0.666, 0.174], [0.166, 0.166, 0.913], [0.494, 0.494, 0.735], [0.503, 0.503, 0.252], [0.820, 0.820, 0.560], [0.834, 0.834, 0.084], [0.069, 0.069, 0.696], [0.071, 0.071, 0.202], [0.253, 0.253, 0.613], [0.260, 0.260, 0.120], [0.399, 0.399, 0.532], [0.411, 0.411, 0.052], [0.571, 0.571, 0.430], [0.589, 0.589, 0.951], [0.741, 0.741, 0.872], [0.752, 0.752, 0.383], [0.914, 0.914, 0.768], [0.924, 0.924, 0.280]]}

***

Record 4
{"formula": "Li7Mn4CoO12", "functional": "PBE+U", "state": "relaxed", "de_polymorph_ev_per_atom": 0.0333, "volume_a3_per_atom": 9.1, "energy_ev_per_atom": -6.215, "mass_density_kg_m3": 3968, "lattice_angstrom": [[5.105, 0.000, 0.000], [-0.080, 5.887, 0.000], [-0.210, -2.629, 14.461]], "species": ["Li", "Li", "Li", "Li", "Li", "Li", "Li", "Li", "Li", "Li", "Li", "Li", "Li", "Li", "Mn", "Mn", "Mn", "Mn", "Mn", "Mn", "Mn", "Mn", "Co", "Co", "O", "O", "O", "O", "O", "O", "O", "O", "O", "O", "O", "O", "O", "O", "O", "O", "O", "O", "O", "O", "O", "O", "O", "O"], "fractional_positions": [[0.000, 0.000, 0.000], [0.000, 0.500, 0.000], [0.009, 0.242, 0.499], [0.182, 0.075, 0.662], [0.184, 0.580, 0.665], [0.319, 0.432, 0.842], [0.327, 0.921, 0.840], [0.496, 0.752, 0.000], [0.504, 0.248, 0.000], [0.673, 0.079, 0.160], [0.681, 0.568, 0.158], [0.816, 0.420, 0.335], [0.818, 0.925, 0.338], [0.991, 0.758, 0.501], [0.156, 0.826, 0.160], [0.161, 0.324, 0.160], [0.327, 0.164, 0.332], [0.331, 0.664, 0.333], [0.669, 0.336, 0.667], [0.673, 0.836, 0.668], [0.839, 0.676, 0.840], [0.844, 0.174, 0.840], [0.500, 0.000, 0.500], [0.500, 0.500, 0.500], [0.029, 0.112, 0.241], [0.031, 0.611, 0.241], [0.141, 0.707, 0.910], [0.145, 0.207, 0.908], [0.161, 0.976, 0.410], [0.173, 0.442, 0.403], [0.314, 0.043, 0.091], [0.320, 0.548, 0.094], [0.359, 0.294, 0.588], [0.368, 0.792, 0.591], [0.463, 0.882, 0.256], [0.473, 0.348, 0.248], [0.527, 0.652, 0.752], [0.537, 0.118, 0.744], [0.632, 0.208, 0.409], [0.641, 0.706, 0.412], [0.680, 0.452, 0.906], [0.686, 0.957, 0.909], [0.827, 0.558, 0.597], [0.839, 0.024, 0.590], [0.855, 0.793, 0.092], [0.859, 0.293, 0.090], [0.969, 0.389, 0.759], [0.971, 0.888, 0.759]]}

***

Record 5
{"formula": "Li5MnCo2O8", "functional": "PBE+U", "state": "relaxed", "de_polymorph_ev_per_atom": 0.0000, "volume_a3_per_atom": 8.7, "energy_ev_per_atom": -5.765, "mass_density_kg_m3": 4004, "lattice_angstrom": [[4.968, 0.000, 0.000], [0.000, 5.839, 0.000], [-1.672, 0.000, 4.798]], "species": ["Li", "Li", "Li", "Li", "Li", "Mn", "Co", "Co", "O", "O", "O", "O", "O", "O", "O", "O"], "fractional_positions": [[0.000, 0.000, 0.000], [0.000, 0.241, 0.500], [0.000, 0.484, 0.000], [0.500, 0.239, 0.000], [0.500, 0.744, 0.000], [0.500, 0.491, 0.500], [0.000, 0.738, 0.500], [0.500, 0.002, 0.500], [0.241, 0.969, 0.718], [0.247, 0.511, 0.716], [0.247, 0.730, 0.277], [0.278, 0.256, 0.262], [0.722, 0.256, 0.738], [0.753, 0.511, 0.284], [0.753, 0.730, 0.723], [0.759, 0.969, 0.282]]}

***

Record 6
{"formula": "Li7Mn2Co3O12", "functional": "PBE+U", "state": "relaxed", "de_polymorph_ev_per_atom": 0.0898, "volume_a3_per_atom": 8.9, "energy_ev_per_atom": -5.839, "mass_density_kg_m3": 4079, "lattice_angstrom": [[7.620, -1.452, 0.000], [7.620, 1.452, 0.000], [-1.704, 0.000, 9.700]], "species": ["Li", "Li", "Li", "Li", "Li", "Li", "Li", "Mn", "Mn", "Co", "Co", "Co", "O", "O", "O", "O", "O", "O", "O", "O", "O", "O", "O", "O"], "fractional_positions": [[0.000, 0.000, 0.000], [0.173, 0.173, 0.515], [0.327, 0.327, 0.995], [0.501, 0.501, 0.510], [0.667, 0.667, 0.998], [0.749, 0.749, 0.758], [0.830, 0.830, 0.513], [0.087, 0.087, 0.760], [0.915, 0.915, 0.254], [0.241, 0.241, 0.254], [0.405, 0.405, 0.749], [0.586, 0.586, 0.260], [0.033, 0.033, 0.367], [0.127, 0.127, 0.139], [0.198, 0.198, 0.872], [0.300, 0.300, 0.635], [0.377, 0.377, 0.363], [0.452, 0.452, 0.143], [0.544, 0.544, 0.867], [0.618, 0.618, 0.645], [0.712, 0.712, 0.380], [0.796, 0.796, 0.145], [0.881, 0.881, 0.872], [0.962, 0.962, 0.650]]}

***

Record 7
{"formula": "Li4MnCo2O7", "functional": "PBE+U", "state": "relaxed", "de_polymorph_ev_per_atom": 0.0389, "volume_a3_per_atom": 9.0, "energy_ev_per_atom": -5.838, "mass_density_kg_m3": 4108, "lattice_angstrom": [[5.933, 0.000, 0.000], [-1.578, 6.377, 0.000], [-1.326, -3.636, 6.679]], "species": ["Li", "Li", "Li", "Li", "Li", "Li", "Li", "Li", "Mn", "Mn", "Co", "Co", "Co", "Co", "O", "O", "O", "O", "O", "O", "O", "O", "O", "O", "O", "O", "O", "O"], "fractional_positions": [[0.000, 0.000, 0.000], [0.074, 0.583, 0.725], [0.219, 0.720, 0.147], [0.360, 0.864, 0.574], [0.500, 0.000, 0.000], [0.640, 0.136, 0.426], [0.781, 0.280, 0.853], [0.926, 0.417, 0.275], [0.428, 0.429, 0.286], [0.572, 0.571, 0.714], [0.139, 0.137, 0.423], [0.278, 0.272, 0.858], [0.722, 0.728, 0.142], [0.861, 0.863, 0.577], [0.023, 0.791, 0.363], [0.142, 0.369, 0.090], [0.181, 0.947, 0.785], [0.276, 0.497, 0.500], [0.319, 0.096, 0.233], [0.402, 0.627, 0.913], [0.460, 0.237, 0.646], [0.540, 0.763, 0.354], [0.598, 0.373, 0.087], [0.681, 0.904, 0.767], [0.724, 0.503, 0.500], [0.819, 0.053, 0.215], [0.858, 0.631, 0.910], [0.977, 0.209, 0.637]]}

***

Record 8
{"formula": "Li4MnCo2O7", "functional": "PBE+U", "state": "relaxed", "de_polymorph_ev_per_atom": 0.0631, "volume_a3_per_atom": 8.9, "energy_ev_per_atom": -5.813, "mass_density_kg_m3": 4177, "lattice_angstrom": [[5.217, 0.000, 0.000], [-1.991, 5.574, 0.000], [-0.605, -0.491, 8.546]], "species": ["Li", "Li", "Li", "Li", "Li", "Li", "Li", "Li", "Mn", "Mn", "Co", "Co", "Co", "Co", "O", "O", "O", "O", "O", "O", "O", "O", "O", "O", "O", "O", "O", "O"], "fractional_positions": [[0.000, 0.000, 0.000], [0.000, 0.500, 0.000], [0.151, 0.289, 0.282], [0.281, 0.567, 0.574], [0.424, 0.851, 0.862], [0.576, 0.149, 0.138], [0.719, 0.433, 0.426], [0.849, 0.711, 0.718], [0.285, 0.071, 0.575], [0.715, 0.929, 0.425], [0.142, 0.784, 0.283], [0.424, 0.356, 0.859], [0.576, 0.644, 0.141], [0.858, 0.216, 0.717], [0.023, 0.760, 0.494], [0.154, 0.497, 0.791], [0.161, 0.044, 0.787], [0.303, 0.796, 0.091], [0.321, 0.334, 0.062], [0.404, 0.092, 0.361], [0.451, 0.616, 0.347], [0.549, 0.384, 0.653], [0.596, 0.908, 0.639], [0.679, 0.666, 0.938], [0.697, 0.204, 0.909], [0.839, 0.956, 0.213], [0.846, 0.503, 0.209], [0.977, 0.240, 0.506]]}

***

Record 9
{"formula": "Li4MnCo2O7", "functional": "PBE+U", "state": "relaxed", "de_polymorph_ev_per_atom": 0.0249, "volume_a3_per_atom": 8.9, "energy_ev_per_atom": -5.852, "mass_density_kg_m3": 4144, "lattice_angstrom": [[2.904, 0.000, 0.000], [-1.265, 9.683, 0.000], [-0.358, -4.085, 8.909]], "species": ["Li", "Li", "Li", "Li", "Li", "Li", "Li", "Li", "Mn", "Mn", "Co", "Co", "Co", "Co", "O", "O", "O", "O", "O", "O", "O", "O", "O", "O", "O", "O", "O", "O"], "fractional_positions": [[0.000, 0.000, 0.000], [0.060, 0.141, 0.792], [0.210, 0.427, 0.356], [0.359, 0.727, 0.939], [0.500, 0.000, 0.500], [0.641, 0.273, 0.061], [0.790, 0.573, 0.644], [0.940, 0.859, 0.208], [0.429, 0.867, 0.725], [0.571, 0.133, 0.275], [0.153, 0.287, 0.571], [0.285, 0.571, 0.143], [0.715, 0.429, 0.857], [0.847, 0.713, 0.429], [0.058, 0.081, 0.385], [0.095, 0.207, 0.192], [0.165, 0.364, 0.960], [0.264, 0.493, 0.754], [0.305, 0.656, 0.538], [0.401, 0.778, 0.329], [0.471, 0.944, 0.124], [0.529, 0.056, 0.876], [0.599, 0.222, 0.671], [0.695, 0.344, 0.462], [0.736, 0.507, 0.246], [0.835, 0.636, 0.040], [0.905, 0.793, 0.808], [0.942, 0.919, 0.615]]}

***

Record 10
{"formula": "Li7Mn2Co3O12", "functional": "PBE+U", "state": "relaxed", "de_polymorph_ev_per_atom": 0.0770, "volume_a3_per_atom": 8.9, "energy_ev_per_atom": -5.852, "mass_density_kg_m3": 4099, "lattice_angstrom": [[7.681, -1.457, 0.000], [7.681, 1.457, 0.000], [-3.712, 0.000, 9.544]], "species": ["Li", "Li", "Li", "Li", "Li", "Li", "Li", "Mn", "Mn", "Co", "Co", "Co", "O", "O", "O", "O", "O", "O", "O", "O", "O", "O", "O", "O"], "fractional_positions": [[0.000, 0.000, 0.000], [0.166, 0.166, 0.923], [0.171, 0.171, 0.406], [0.500, 0.500, 0.226], [0.505, 0.505, 0.768], [0.829, 0.829, 0.580], [0.838, 0.838, 0.081], [0.002, 0.002, 0.497], [0.336, 0.336, 0.834], [0.326, 0.326, 0.319], [0.654, 0.654, 0.151], [0.667, 0.667, 0.664], [0.088, 0.088, 0.207], [0.091, 0.091, 0.693], [0.242, 0.242, 0.633], [0.255, 0.255, 0.133], [0.407, 0.407, 0.020], [0.430, 0.430, 0.535], [0.579, 0.579, 0.472], [0.591, 0.591, 0.964], [0.754, 0.754, 0.854], [0.757, 0.757, 0.373], [0.905, 0.905, 0.788], [0.921, 0.921, 0.308]]}

***

Record 11
{"formula": "Li7Mn2Co3O12", "functional": "PBE+U", "state": "relaxed", "de_polymorph_ev_per_atom": 0.0847, "volume_a3_per_atom": 8.9, "energy_ev_per_atom": -5.844, "mass_density_kg_m3": 4110, "lattice_angstrom": [[5.013, 0.000, 0.000], [-2.426, 4.386, 0.000], [-1.046, -1.792, 19.376]], "species": ["Li", "Li", "Li", "Li", "Li", "Li", "Li", "Li", "Li", "Li", "Li", "Li", "Li", "Li", "Mn", "Mn", "Mn", "Mn", "Co", "Co", "Co", "Co", "Co", "Co", "O", "O", "O", "O", "O", "O", "O", "O", "O", "O", "O", "O", "O", "O", "O", "O", "O", "O", "O", "O", "O", "O", "O", "O"], "fractional_positions": [[0.000, 0.000, 0.000], [0.022, 0.704, 0.115], [0.122, 0.128, 0.387], [0.212, 0.529, 0.614], [0.276, 0.951, 0.887], [0.362, 0.367, 0.113], [0.447, 0.772, 0.387], [0.491, 0.492, 0.500], [0.541, 0.217, 0.614], [0.629, 0.620, 0.888], [0.718, 0.043, 0.113], [0.788, 0.470, 0.385], [0.871, 0.863, 0.613], [0.965, 0.281, 0.886], [0.074, 0.417, 0.250], [0.411, 0.080, 0.250], [0.581, 0.912, 0.750], [0.917, 0.575, 0.750], [0.167, 0.830, 0.500], [0.246, 0.246, 0.750], [0.329, 0.666, 0.000], [0.662, 0.324, 0.000], [0.745, 0.746, 0.250], [0.825, 0.163, 0.500], [0.050, 0.058, 0.197], [0.069, 0.737, 0.306], [0.129, 0.493, 0.443], [0.174, 0.152, 0.558], [0.220, 0.889, 0.698], [0.237, 0.570, 0.807], [0.340, 0.317, 0.943], [0.379, 0.034, 0.058], [0.388, 0.719, 0.197], [0.433, 0.441, 0.303], [0.456, 0.111, 0.443], [0.502, 0.860, 0.558], [0.559, 0.552, 0.697], [0.604, 0.273, 0.802], [0.632, 0.990, 0.943], [0.661, 0.656, 0.056], [0.754, 0.422, 0.194], [0.772, 0.103, 0.303], [0.833, 0.829, 0.444], [0.877, 0.523, 0.556], [0.922, 0.255, 0.693], [0.941, 0.934, 0.803], [0.970, 0.615, 0.944], [0.997, 0.361, 0.057]]}

***

Record 12
{"formula": "Li4MnCo2O7", "functional": "PBE+U", "state": "relaxed", "de_polymorph_ev_per_atom": 0.1301, "volume_a3_per_atom": 9.2, "energy_ev_per_atom": -5.746, "mass_density_kg_m3": 4026, "lattice_angstrom": [[2.656, -1.416, 0.000], [2.656, 1.416, 0.000], [-1.444, 0.000, 34.287]], "species": ["Li", "Li", "Li", "Li", "Li", "Li", "Li", "Li", "Mn", "Mn", "Co", "Co", "Co", "Co", "O", "O", "O", "O", "O", "O", "O", "O", "O", "O", "O", "O", "O", "O"], "fractional_positions": [[0.000, 0.000, 0.000], [0.000, 0.000, 0.500], [0.142, 0.142, 0.214], [0.298, 0.298, 0.931], [0.432, 0.432, 0.645], [0.568, 0.568, 0.355], [0.702, 0.702, 0.069], [0.858, 0.858, 0.786], [0.285, 0.285, 0.428], [0.715, 0.715, 0.572], [0.143, 0.143, 0.715], [0.426, 0.426, 0.144], [0.574, 0.574, 0.856], [0.857, 0.857, 0.285], [0.066, 0.066, 0.114], [0.092, 0.092, 0.606], [0.204, 0.204, 0.824], [0.230, 0.230, 0.317], [0.336, 0.336, 0.538], [0.362, 0.362, 0.037], [0.485, 0.485, 0.254], [0.515, 0.515, 0.746], [0.638, 0.638, 0.963], [0.664, 0.664, 0.462], [0.770, 0.770, 0.683], [0.796, 0.796, 0.176], [0.908, 0.908, 0.394], [0.934, 0.934, 0.886]]}